Material: Y2S3
Method: DFT, r²SCAN
State: optimized geometry

Cell: 10.6320 3.8694 10.5063 Å, 90.00 90.00 90.00°
Last column: nearest neighbours and their distance in Å.
Fractional coordinates of all 20 atoms:
Y 0.0096 0.2500 0.1872  7 S 2.74-2.81
Y 0.1918 0.2500 0.5046  7 S 2.81-2.86
Y 0.3082 0.7500 0.0046  7 S 2.81-2.86
Y 0.4904 0.7500 0.6872  7 S 2.74-2.81
Y 0.5096 0.2500 0.3128  7 S 2.74-2.81
Y 0.6918 0.2500 0.9954  7 S 2.81-2.86
Y 0.8082 0.7500 0.4954  7 S 2.81-2.86
Y 0.9904 0.7500 0.8128  7 S 2.74-2.81
S 0.0463 0.7500 0.3731  5 Y 2.78-2.84
S 0.1188 0.2500 0.9449  5 Y 2.74-2.86
S 0.2273 0.7500 0.6952  4 Y 2.80-2.81, 1 S 3.10
S 0.2727 0.2500 0.1952  4 Y 2.80-2.81, 1 S 3.10
S 0.3812 0.7500 0.4449  5 Y 2.74-2.86
S 0.4537 0.2500 0.8731  5 Y 2.78-2.84
S 0.5463 0.7500 0.1269  5 Y 2.78-2.84
S 0.6188 0.2500 0.5551  5 Y 2.74-2.86
S 0.7273 0.7500 0.8048  4 Y 2.80-2.81, 1 S 3.10
S 0.7727 0.2500 0.3048  4 Y 2.80-2.81, 1 S 3.10
S 0.8812 0.7500 0.0551  5 Y 2.74-2.86
S 0.9537 0.2500 0.6269  5 Y 2.78-2.84

Computed properties:
The value obtained for the formation energy is -1146 kJ/mol of formula units. For the size of the total moment, the calculation gives 0.00 Bohr magnetons per cell. The calculation puts the calculated density at 4.2 g/cm3. Its symmetry is Pnma.